# MgFe6O8F4, optimized geometry, DFT GGA+U
# E_form = -35.13 eV/f.u.
# Offset from the most stable computed form = 8.6 kJ per mole of atoms
# Theoretical density = 4.589 Mg/m³
data_MgFe6O8F4
_cell_length_a 4.718
_cell_length_b 4.735
_cell_length_c 9.129
_cell_angle_alpha 90.03
_cell_angle_beta 90.04
_cell_angle_gamma 90.95
_space_group_name_H-M_alt 'P 1'
_space_group_IT_number 1
loop_
_space_group_symop_operation_xyz
'x,y,z'
loop_
_atom_site_label
_atom_site_type_symbol
_atom_site_fract_x
_atom_site_fract_y
_atom_site_fract_z
Mg1 Mg 0.000 0.000 0.000
Fe1 Fe 0.000 0.498 0.320
Fe2 Fe 0.000 0.500 0.999
Fe3 Fe 0.500 0.000 0.500
Fe4 Fe 0.500 0.000 0.804
Fe5 Fe 0.500 0.999 0.196
Fe6 Fe 0.999 0.500 0.678
O1 O 0.163 0.276 0.846
O2 O 0.164 0.275 0.153
O3 O 0.306 0.779 0.337
O4 O 0.307 0.782 0.662
O5 O 0.692 0.218 0.662
O6 O 0.694 0.220 0.337
O7 O 0.836 0.724 0.153
O8 O 0.836 0.724 0.846
F1 F 0.177 0.300 0.500
F2 F 0.344 0.782 0.000
F3 F 0.656 0.217 0.000
F4 F 0.822 0.700 0.500